No. 1
A relaxed MgSi2 crystal, computed with GGA-PBE.

- Calculated formation energy: 0.17 eV per atom
- E_tot: -4.03 eV per atom
- Relative energy among the computed polymorphs: 0.27 eV/f.u.
- Crystal system: monoclinic
- Magnetic moment: 0.0005 μB per atom

The structure in CIF format:
```
data_MgSi2
_chemical_formula_sum 'Mg4 Si8'
_cell_length_a 7.145
_cell_length_b 3.756
_cell_length_c 9.710
_cell_angle_alpha 90.00
_cell_angle_beta 105.93
_cell_angle_gamma 90.00
_space_group_name_H-M_alt 'P 1 2/m 1'
_space_group_IT_number 10
_space_group_name_Hall '-P 2y'
loop_
_atom_site_label
_atom_site_type_symbol
_atom_site_fract_x
_atom_site_fract_y
_atom_site_fract_z
Mg1 Mg 0.083 0.000 0.372
Mg2 Mg 0.246 0.500 0.854
Si1 Si 0.172 0.000 0.057
Si2 Si 0.204 0.500 0.210
Si3 Si 0.298 0.000 0.647
Si4 Si 0.482 0.500 0.621
```


No. 2
A relaxed Ba4SmRu3O12 crystal, computed with GGA-PBE.

- Calculated formation energy: -2.49 eV per atom
- E_tot: -7.06 eV per atom
- Crystal system: monoclinic
- Magnetic moment: 0.2171 μB per atom

The structure in CIF format:
```
data_Ba4SmRu3O12
_chemical_formula_sum 'Ba24 Sm6 Ru18 O72'
_cell_length_a 10.360
_cell_length_b 5.975
_cell_length_c 29.767
_cell_angle_alpha 90.00
_cell_angle_beta 91.24
_cell_angle_gamma 90.00
_space_group_name_H-M_alt 'C 1 2/m 1'
_space_group_IT_number 12
_space_group_name_Hall '-C 2y'
loop_
_atom_site_label
_atom_site_type_symbol
_atom_site_fract_x
_atom_site_fract_y
_atom_site_fract_z
Ba1 Ba 0.001 0.000 0.369
Ba2 Ba 0.006 0.000 0.783
Ba3 Ba 0.158 0.500 0.117
Ba4 Ba 0.168 0.500 0.703
Ba5 Ba 0.168 0.500 0.963
Ba6 Ba 0.171 0.500 0.550
Sm1 Sm 0.000 0.000 0.500
Sm2 Sm 0.178 0.500 0.833
Ru1 Ru 0.000 0.000 0.000
Ru2 Ru 0.013 0.000 0.914
Ru3 Ru 0.159 0.500 0.419
Ru4 Ru 0.161 0.500 0.248
Ru5 Ru 0.171 0.500 0.334
O1 O 0.005 0.500 0.785
O2 O 0.012 0.500 0.372
O3 O 0.070 0.232 0.044
O4 O 0.070 0.264 0.451
O5 O 0.094 0.262 0.292
O6 O 0.096 0.236 0.880
O7 O 0.136 0.000 0.125
O8 O 0.161 0.000 0.962
O9 O 0.177 0.000 0.709
O10 O 0.198 0.000 0.537
O11 O 0.231 0.268 0.211
O12 O 0.247 0.271 0.377
```


No. 3
A relaxed Sr2La6Cu3IrO16 crystal, computed with GGA-PBE.

- Calculated formation energy: -2.81 eV per atom
- E_tot: -7.18 eV per atom
- Crystal system: monoclinic
- Magnetic moment: 0.0000 μB per atom

The structure in CIF format:
```
data_Sr2La6Cu3IrO16
_chemical_formula_sum 'Sr4 La12 Cu6 Ir2 O32'
_cell_length_a 17.013
_cell_length_b 5.412
_cell_length_c 11.059
_cell_angle_alpha 90.00
_cell_angle_beta 130.23
_cell_angle_gamma 90.00
_space_group_name_H-M_alt 'C 1 2/m 1'
_space_group_IT_number 12
_space_group_name_Hall '-C 2y'
loop_
_atom_site_label
_atom_site_type_symbol
_atom_site_fract_x
_atom_site_fract_y
_atom_site_fract_z
Sr1 Sr 0.138 0.000 0.133
La1 La 0.139 0.500 0.888
La2 La 0.140 0.500 0.403
La3 La 0.143 0.000 0.641
Cu1 Cu 0.000 0.500 0.500
Cu2 Cu 0.006 0.000 0.753
Ir1 Ir 0.000 0.500 0.000
O1 O 0.008 0.244 0.630
O2 O 0.016 0.253 0.150
O3 O 0.163 0.500 0.142
O4 O 0.176 0.500 0.661
O5 O 0.187 0.000 0.934
O6 O 0.190 0.000 0.479
```


No. 4
A relaxed Li2BiO3 crystal, computed with GGA-PBE.

- Calculated formation energy: -1.79 eV per atom
- E_tot: -5.21 eV per atom
- Relative energy among the computed polymorphs: 0.36 eV/f.u.
- Crystal system: orthorhombic
- Magnetic moment: 0.0000 μB per atom

The structure in CIF format:
```
data_Li2BiO3
_chemical_formula_sum 'Li8 Bi4 O12'
_cell_length_a 5.780
_cell_length_b 5.769
_cell_length_c 9.478
_cell_angle_alpha 90.00
_cell_angle_beta 90.00
_cell_angle_gamma 90.00
_space_group_name_H-M_alt 'P n n a'
_space_group_IT_number 52
_space_group_name_Hall '-P 2a 2bc'
loop_
_atom_site_label
_atom_site_type_symbol
_atom_site_fract_x
_atom_site_fract_y
_atom_site_fract_z
Li1 Li 0.000 0.000 0.000
Li2 Li 0.246 0.250 0.250
Bi1 Bi 0.250 0.000 0.600
O1 O 0.085 0.712 0.076
O2 O 0.091 0.750 0.750
```


No. 5
A relaxed Na5HfAs3 crystal, computed with GGA-PBE.

- Calculated formation energy: -0.58 eV per atom
- E_tot: -3.98 eV per atom
- Crystal system: monoclinic

The structure in CIF format:
```
data_Na5HfAs3
_chemical_formula_sum 'Na20 Hf4 As12'
_cell_length_a 8.512
_cell_length_b 7.566
_cell_length_c 16.270
_cell_angle_alpha 90.00
_cell_angle_beta 121.11
_cell_angle_gamma 90.00
_space_group_name_H-M_alt 'P 1 21/c 1'
_space_group_IT_number 14
_space_group_name_Hall '-P 2ybc'
loop_
_atom_site_label
_atom_site_type_symbol
_atom_site_fract_x
_atom_site_fract_y
_atom_site_fract_z
Na1 Na 0.002 0.164 0.081
Na2 Na 0.083 0.009 0.763
Na3 Na 0.261 0.511 0.093
Na4 Na 0.320 0.655 0.743
Na5 Na 0.405 0.028 0.085
Hf1 Hf 0.339 0.142 0.414
As1 As 0.056 0.243 0.917
As2 As 0.342 0.707 0.930
As3 As 0.354 0.237 0.265
```


No. 6
A relaxed GdNi4B crystal, computed with GGA-PBE.

- Calculated formation energy: -0.47 eV per atom
- E_tot: -7.79 eV per atom
- Crystal system: hexagonal
- Magnetic moment: 0.0005 μB per atom

The structure in CIF format:
```
data_GdNi4B
_chemical_formula_sum 'Gd2 Ni8 B2'
_cell_length_a 5.0055
_cell_length_b 5.0055
_cell_length_c 6.9699
_cell_angle_alpha 90.00
_cell_angle_beta 90.00
_cell_angle_gamma 120.00
_space_group_name_H-M_alt 'P 6/m m m'
_space_group_IT_number 191
_space_group_name_Hall '-P 6 2'
loop_
_atom_site_label
_atom_site_type_symbol
_atom_site_fract_x
_atom_site_fract_y
_atom_site_fract_z
Gd1 Gd 0.0000 0.0000 0.0000
Gd2 Gd 0.0000 0.0000 0.5000
Ni1 Ni 0.0000 0.5000 0.2073
Ni2 Ni 0.3333 0.6667 0.5000
B1 B 0.3333 0.6667 0.0000
```